[1]
This record from the Materials Project describes a geometry-optimized Zr2Bi2O7 structure. The functional is PBE-GGA.

As for the electronic total energy: -7.7461 eV per atom. The total energy after the MP2020 corrections is -360.06 eV for the cell shown. As for the formation enthalpy at 0 K: -2773 meV per atom.

extended XYZ file:
```
44
Lattice="-0.4750 -1.2098 -5.5674 3.6367 -7.1280 1.2386 -11.3839 -7.6698 2.6378" Properties=species:S:1:pos:R:3 pbc="T T T"
Zr -0.3636 -9.3497 0.5257
Zr 1.8706 -8.7289 -2.7506
Zr -5.9282 -10.3129 -1.7483
Zr -8.2458 -10.8577 1.5181
Zr 0.0113 -5.1815 -3.3552
Zr -2.3088 -5.7325 -0.1170
Zr -10.1064 -7.3135 0.8991
Zr -7.8697 -6.6864 -2.3481
Bi -3.3691 -10.8066 0.8925
Bi -7.9717 -13.4220 -0.9162
Bi 0.9985 -6.3718 -0.0988
Bi -2.6200 -8.4754 -2.2302
Bi -5.5847 -7.4877 0.7435
Bi -9.2094 -9.6071 -1.4603
Bi -0.2682 -2.6308 -0.9829
Bi -4.8976 -5.3145 -3.1060
O -1.6129 -10.4100 -0.8030
O 1.3707 -8.9894 -0.7569
O -5.1938 -12.0175 -0.9438
O -7.4272 -12.7747 1.2683
O -1.8765 -9.5463 1.9057
O 3.1601 -6.9007 0.9023
O 0.1553 -9.1266 -3.7780
O -4.7825 -9.2944 1.9002
O -7.7159 -11.5592 -2.3075
O 1.3789 -6.6349 -2.5466
O -1.2139 -7.6109 -0.5078
O -4.3875 -9.0818 -1.0334
O -9.7858 -11.3815 0.0584
O -7.2671 -9.9641 -0.0369
O -1.1742 -6.6016 -4.2228
O 1.7503 -4.1506 0.4383
O -3.6693 -6.5046 1.2807
O -7.1372 -8.7253 -2.6957
O -9.5149 -9.1532 1.8654
O -0.6800 -4.8911 -1.4213
O -3.2875 -6.3256 -1.8079
O -8.5950 -7.4351 -0.4636
O -11.1978 -8.6370 -0.4309
O -6.1613 -5.9918 -1.4365
O -0.9039 -3.5104 -4.2367
O -2.9628 -3.8232 0.0206
O -9.7750 -7.4820 -3.0690
O -6.4150 -5.1028 1.3888
```

=====

[2]
This record from the Materials Project describes a geometry-optimized BiOsSe structure. The functional is PBE-GGA.

As for the electronic total energy: -6.1820 eV per atom. The total energy after the MP2020 corrections is -76.07 eV for the cell shown. As for the formation enthalpy at 0 K: -135 meV per atom.

extended XYZ file:
```
12
Lattice="6.4970 0.0000 0.0000 0.0000 6.6252 0.0000 0.0000 2.6255 6.0935" Properties=species:S:1:pos:R:3 pbc="T T T"
Bi 4.1483 6.6666 2.3003
Bi 0.8998 1.2714 0.7464
Bi 2.3487 2.5842 3.7932
Bi 5.5972 7.9794 5.3471
Os 0.0850 5.4537 1.8500
Os 3.3335 2.4843 1.1967
Os 6.4120 3.7971 4.2435
Os 3.1635 6.7665 4.8968
Se 2.3651 4.7533 1.0881
Se 5.6136 3.1847 1.9586
Se 4.1319 4.4975 5.0053
Se 0.8834 6.0660 4.1349
```

=====

[3]
This record from the Materials Project describes a geometry-optimized Bi3P structure. The functional is PBE-GGA.

As for the electronic total energy: -3.8604 eV per atom. As for the formation enthalpy at 0 K: 410 meV per atom.

extended XYZ file:
```
8
Lattice="-6.9622 0.1756 -0.6765 3.1614 -5.8686 2.1275 -0.4421 1.5579 4.9545" Properties=species:S:1:pos:R:3 pbc="T T T"
Bi -5.4806 0.2615 3.5415
Bi -2.2593 0.1802 3.8545
Bi -4.0179 -2.4538 4.5259
Bi 1.2377 -4.3965 2.8639
Bi -1.9836 -4.3153 2.5508
Bi -0.2250 -1.6813 1.8795
P -3.6982 -1.4496 1.4967
P -0.5447 -2.6854 4.9086
```